1.
Below is an optimized crystal structure of CdP3NO9, with properties calculated at the PBE level.

The structure in CIF format:
```
data_CdP3NO9
_space_group_name_H-M_alt 'P -6 c 2'
_space_group_IT_number 188
_space_group_name_Hall 'P -6c 2'
_cell_length_a 6.8984
_cell_length_b 6.8984
_cell_length_c 10.6218
_cell_angle_alpha 90.00
_cell_angle_beta 90.00
_cell_angle_gamma 120.00
loop_
_atom_site_label
_atom_site_fract_x
_atom_site_fract_y
_atom_site_fract_z
Cd1 0.0000 0.0000 0.0000
P1 0.3947 0.1116 0.2500
N1 0.3333 0.6667 0.0000
O1 0.2738 0.0114 0.1287
O2 0.4805 0.1031 0.7500
```

Summary:
Energy with MP2020 corrections in eV per atom: -6.777
Total DFT energy (no corrections) in eV/cell: -177.40
Formation energy from the elements in eV/atom: -1.78
V in Å³/cell: 437.8
Total magnetic moment in μB per cell: 4.01


2.
Below is an optimized crystal structure of Cd2Si5N8, with properties calculated at the PBE level.

The structure in CIF format:
```
data_Cd2Si5N8
_space_group_name_H-M_alt 'P b c a'
_space_group_IT_number 61
_space_group_name_Hall '-P 2ac 2ab'
_cell_length_a 9.6751
_cell_length_b 13.6188
_cell_length_c 10.7134
_cell_angle_alpha 90.00
_cell_angle_beta 90.00
_cell_angle_gamma 90.00
loop_
_atom_site_label
_atom_site_fract_x
_atom_site_fract_y
_atom_site_fract_z
Cd1 0.0449 0.0799 0.1116
Cd2 0.1394 0.0020 0.3952
Si1 0.0071 0.2142 0.4825
Si2 0.0372 0.1557 0.7530
Si3 0.1605 0.5435 0.1653
Si4 0.2189 0.6505 0.5977
Si5 0.2283 0.7242 0.3306
N1 0.0543 0.0309 0.7568
N2 0.0591 0.6052 0.0595
N3 0.1133 0.1982 0.6135
N4 0.1142 0.2218 0.8763
N5 0.1237 0.7005 0.4680
N6 0.1387 0.6891 0.7382
N7 0.2247 0.5266 0.5742
N8 0.2353 0.1151 0.2590
```

Summary:
Energy with MP2020 corrections in eV per atom: -7.300
Total DFT energy (no corrections) in eV/cell: -852.88
Formation energy from the elements in eV/atom: -0.92
V in Å³/cell: 1411.6
Total magnetic moment in μB per cell: 0.01


3.
Below is an optimized crystal structure of Cd5Si2N6, with properties calculated at the PBE level.

The structure in CIF format:
```
data_Cd5Si2N6
_space_group_name_H-M_alt 'C 1 2/c 1'
_space_group_IT_number 15
_space_group_name_Hall '-C 2yc'
_cell_length_a 9.4376
_cell_length_b 6.0096
_cell_length_c 13.7158
_cell_angle_alpha 90.00
_cell_angle_beta 91.38
_cell_angle_gamma 90.00
loop_
_atom_site_label
_atom_site_fract_x
_atom_site_fract_y
_atom_site_fract_z
Cd1 0.0000 0.1302 0.2500
Cd2 0.0656 0.2458 0.4810
Cd3 0.1440 0.4112 0.6998
Si1 0.2113 0.3151 0.9151
N1 0.0473 0.4392 0.8916
N2 0.1909 0.0639 0.9851
N3 0.1990 0.2107 0.1943
```

Summary:
Energy with MP2020 corrections in eV per atom: -5.179
Total DFT energy (no corrections) in eV/cell: -260.66
Formation energy from the elements in eV/atom: -0.14
V in Å³/cell: 777.7
Total magnetic moment in μB per cell: 0.01


4.
Below is an optimized crystal structure of CdSiN2, with properties calculated at the PBE level.

The structure in CIF format:
```
data_CdSiN2
_space_group_name_H-M_alt 'I -4 2 d'
_space_group_IT_number 122
_space_group_name_Hall 'I -4 2bw'
_cell_length_a 4.8386
_cell_length_b 4.8386
_cell_length_c 8.2737
_cell_angle_alpha 90.00
_cell_angle_beta 90.00
_cell_angle_gamma 90.00
loop_
_atom_site_label
_atom_site_fract_x
_atom_site_fract_y
_atom_site_fract_z
Cd1 0.0000 0.0000 0.0000
Si1 0.0000 0.0000 0.5000
N1 0.1559 0.7500 0.6250
```

Summary:
Energy with MP2020 corrections in eV per atom: -6.475
Total DFT energy (no corrections) in eV/cell: -100.71
Formation energy from the elements in eV/atom: -0.72
V in Å³/cell: 193.7
Total magnetic moment in μB per cell: 0.00


Which formula does entry 4 have?
CdSiN2


Which of these has the highest total magnetic moment?
CdP3NO9


Look up the total magnetic moment of the first one.
4.01 μB per cell


Among the records above, which one has the highest total DFT energy (no corrections)?
CdSiN2